Entry 1:
## LiCo2P3O12 (GGA+U)

Data for a relaxed LiCo2P3O12 crystal.

a = 8.399 Å, b = 8.399 Å, c = 8.399 Å
α = 59.35°, β = 59.35°, γ = 59.35°
Sites, in units of the cell vectors:
Li (0.000, 0.000, 0.000)
Li (0.500, 0.500, 0.500)
Co (0.140, 0.140, 0.140)
Co (0.360, 0.360, 0.360)
Co (0.640, 0.640, 0.640)
Co (0.860, 0.860, 0.860)
P (0.034, 0.750, 0.466)
P (0.250, 0.534, 0.966)
P (0.466, 0.034, 0.750)
P (0.534, 0.966, 0.250)
P (0.750, 0.466, 0.034)
P (0.966, 0.250, 0.534)
O (0.014, 0.793, 0.632)
O (0.056, 0.922, 0.265)
O (0.078, 0.735, 0.944)
O (0.132, 0.293, 0.514)
O (0.207, 0.368, 0.986)
O (0.235, 0.578, 0.444)
O (0.265, 0.056, 0.922)
O (0.293, 0.514, 0.132)
O (0.368, 0.986, 0.207)
O (0.422, 0.556, 0.765)
O (0.444, 0.235, 0.578)
O (0.486, 0.868, 0.707)
O (0.514, 0.132, 0.293)
O (0.556, 0.765, 0.422)
O (0.578, 0.444, 0.235)
O (0.632, 0.014, 0.793)
O (0.707, 0.486, 0.868)
O (0.735, 0.944, 0.078)
O (0.765, 0.422, 0.556)
O (0.793, 0.632, 0.014)
O (0.868, 0.707, 0.486)
O (0.922, 0.265, 0.056)
O (0.944, 0.078, 0.735)
O (0.986, 0.207, 0.368)

Computed properties:
Its calculated volume is 412.71 Å³/cell. The calculated total energy is -0.478 Ry/atom. The magnetic moment comes out at 2.0 μB/f.u. Its energy of formation is -2.049 eV/atom. For the density, the calculation gives 3.3 g cm⁻³.

---

Entry 2:
## Li9Co7O16 (GGA+U)

Data for a relaxed Li9Co7O16 crystal.

a = 8.170 Å, b = 2.934 Å, c = 11.764 Å
α = 90.00°, β = 90.92°, γ = 90.00°
Sites, in units of the cell vectors:
Li (0.000, 0.000, 0.000)
Li (0.000, 0.000, 0.500)
Li (0.251, 0.500, 0.124)
Li (0.263, 0.500, 0.622)
Li (0.498, 0.000, 0.258)
Li (0.500, 0.000, 0.500)
Li (0.502, 0.000, 0.742)
Li (0.737, 0.500, 0.378)
Li (0.749, 0.500, 0.876)
Co (0.001, 0.000, 0.746)
Co (0.248, 0.500, 0.875)
Co (0.257, 0.500, 0.378)
Co (0.500, 0.000, 0.000)
Co (0.743, 0.500, 0.622)
Co (0.752, 0.500, 0.125)
Co (0.999, 0.000, 0.254)
O (0.006, 0.500, 0.868)
O (0.015, 0.500, 0.369)
O (0.241, 0.000, 0.752)
O (0.243, 0.000, 0.266)
O (0.250, 0.000, 0.483)
O (0.255, 0.000, 0.996)
O (0.476, 0.500, 0.373)
O (0.491, 0.500, 0.882)
O (0.509, 0.500, 0.118)
O (0.524, 0.500, 0.627)
O (0.745, 0.000, 0.004)
O (0.750, 0.000, 0.517)
O (0.757, 0.000, 0.734)
O (0.759, 0.000, 0.248)
O (0.985, 0.500, 0.631)
O (0.994, 0.500, 0.132)

Computed properties:
Its calculated volume is 281.96 Å³/cell. The calculated total energy is -0.409 Ry/atom. The magnetic moment comes out at 2.0 μB/f.u. Its energy of formation is -1.703 eV/atom. For the density, the calculation gives 4.3 g cm⁻³.

---

Entry 3:
## MgV3O8 (GGA+U)

Data for a relaxed MgV3O8 crystal.

a = 7.848 Å, b = 8.685 Å, c = 10.564 Å
α = 90.00°, β = 119.88°, γ = 90.00°
Sites, in units of the cell vectors:
Mg (0.207, 0.185, 0.386)
Mg (0.207, 0.315, 0.886)
Mg (0.793, 0.685, 0.114)
Mg (0.793, 0.815, 0.614)
V (0.207, 0.503, 0.181)
V (0.207, 0.997, 0.681)
V (0.234, 0.680, 0.897)
V (0.234, 0.820, 0.397)
V (0.274, 0.506, 0.622)
V (0.274, 0.994, 0.122)
V (0.726, 0.006, 0.878)
V (0.726, 0.494, 0.378)
V (0.766, 0.180, 0.603)
V (0.766, 0.320, 0.103)
V (0.793, 0.003, 0.319)
V (0.793, 0.497, 0.819)
O (0.112, 0.157, 0.717)
O (0.112, 0.343, 0.217)
O (0.127, 0.669, 0.229)
O (0.127, 0.831, 0.729)
O (0.183, 0.505, 0.003)
O (0.183, 0.995, 0.503)
O (0.191, 0.665, 0.515)
O (0.191, 0.835, 0.015)
O (0.200, 0.155, 0.022)
O (0.200, 0.345, 0.522)
O (0.211, 0.504, 0.762)
O (0.211, 0.996, 0.262)
O (0.460, 0.007, 0.799)
O (0.460, 0.493, 0.299)
O (0.478, 0.694, 0.987)
O (0.478, 0.806, 0.487)
O (0.522, 0.194, 0.513)
O (0.522, 0.306, 0.013)
O (0.540, 0.507, 0.701)
O (0.540, 0.993, 0.201)
O (0.789, 0.004, 0.738)
O (0.789, 0.496, 0.238)
O (0.800, 0.655, 0.478)
O (0.800, 0.845, 0.978)
O (0.809, 0.165, 0.985)
O (0.809, 0.335, 0.485)
O (0.817, 0.005, 0.497)
O (0.817, 0.495, 0.997)
O (0.873, 0.169, 0.271)
O (0.873, 0.331, 0.771)
O (0.888, 0.657, 0.783)
O (0.888, 0.843, 0.283)

Computed properties:
Its calculated volume is 624.38 Å³/cell. The calculated total energy is -0.539 Ry/atom. The magnetic moment comes out at 1.0 μB/f.u. Its energy of formation is -2.517 eV/atom. For the density, the calculation gives 3.2 g cm⁻³.